# 1
# Na5LiCo2P2C2O14

An optimized crystal structure of Na5LiCo2P2C2O14 (PBE with a Hubbard U, the Materials Project database).

Output
Volume in Å³ per atom: 11.8
ΔE_f in eV/atom: -2.24
Symmetry: No. 1
Total DFT energy (no corrections) in eV per atom: -6.409
Size of the total moment in μB/atom: 0.0000

The structure in extended XYZ format:
```
26
Lattice="2.546 -4.448 0.884 0.063 1.338 6.516 -7.599 -4.436 1.060" Properties=species:S:1:pos:R:3 pbc="T T T"
O 1.534 -3.696 5.813
Na -3.622 -5.884 4.745
Na -1.360 -1.671 3.724
O -4.515 -3.205 4.573
Co -4.362 -3.545 2.507
O -2.770 -1.588 5.588
O -2.646 -4.079 6.047
P -1.294 -4.693 2.680
O 0.097 -1.402 1.858
O -5.246 -5.614 2.942
O -6.523 -3.818 2.606
O 0.176 -1.938 5.588
Li -1.628 -2.281 0.643
P -3.607 -2.873 5.799
O -0.295 -4.980 1.517
C -6.442 -5.104 2.823
O -2.143 -5.945 3.001
Na -3.607 -5.232 7.914
O -5.184 -6.101 6.440
Na -6.355 -4.067 6.084
Co -0.584 -3.994 5.979
Na 1.345 -3.457 2.322
O -4.581 -2.739 7.014
C 1.387 -2.421 5.589
O -2.240 -3.501 2.288
O -0.413 -4.263 3.891
```

=====

# 2
# CrTeW2O12

An optimized crystal structure of CrTeW2O12 (PBE with a Hubbard U, the Materials Project database).

Output
Volume in Å³ per atom: 12.7
Largest piezoelectric modulus in C/m2: 2.31
ΔE_f in eV/atom: -1.73
Symmetry: No. 1
Total DFT energy (no corrections) in eV per atom: -6.664
Size of the total moment in μB/atom: 0.0000

The structure in extended XYZ format:
```
16
Lattice="-1.524 3.958 2.888 -2.659 -3.359 3.176 6.204 -0.554 4.023" Properties=species:S:1:pos:R:3 pbc="T T T"
O 0.643 -1.810 4.613
O 1.795 0.279 3.295
O -2.535 0.048 6.719
W -2.234 0.157 3.246
O 1.430 1.871 5.504
O 2.773 0.273 8.432
O -0.799 -0.245 1.662
O 4.234 1.642 6.504
O 0.255 -0.237 6.790
Te 1.042 0.029 5.050
W -1.248 0.299 7.911
O 4.518 -0.049 3.374
O -2.301 -1.587 3.627
O -0.663 0.581 4.301
O 2.771 -0.509 5.728
Cr 5.855 -0.719 4.079
```

=====

# 3
# ZnCoP2O7

An optimized crystal structure of ZnCoP2O7 (PBE with a Hubbard U, the Materials Project database).

Output
Volume in Å³ per atom: 11.8
ΔE_f in eV/atom: -2.32
Symmetry: No. 1
Total DFT energy (no corrections) in eV per atom: -6.624
Size of the total moment in μB/atom: 0.0000

The structure in extended XYZ format:
```
22
Lattice="0.794 5.850 2.536 0.552 -0.387 7.030 6.209 -0.155 0.878" Properties=species:S:1:pos:R:3 pbc="T T T"
Co 2.907 5.172 4.063
Zn 6.136 1.444 2.933
O 2.955 3.360 3.195
O 1.918 1.086 2.650
O 2.266 1.873 5.028
O 1.091 1.843 7.180
O 4.878 5.367 3.849
O 5.609 4.225 7.796
O 4.289 1.205 3.667
P 4.621 3.426 6.910
O 6.462 3.479 3.241
Zn 1.436 3.875 7.492
O 5.337 3.397 5.423
O 0.484 0.098 5.408
O 3.270 4.129 6.693
O 7.078 5.215 5.026
P 2.926 1.888 3.521
O 2.668 -0.082 6.629
Co 4.678 0.130 6.463
P 5.954 4.402 4.362
P 1.622 0.892 6.088
O 4.525 1.960 7.261
```

=====

# 4
# MgMn6O8F4

An optimized crystal structure of MgMn6O8F4 (PBE with a Hubbard U, the Materials Project database).

Output
Volume in Å³ per atom: 11.8
ΔE_f in eV/atom: -2.26
Symmetry: No. 1
Total DFT energy (no corrections) in eV per atom: -6.814
Size of the total moment in μB/atom: 1.2632

The structure in extended XYZ format:
```
19
Lattice="-5.112 0.390 0.053 -0.326 4.801 -6.020 0.428 -4.897 -3.078" Properties=species:S:1:pos:R:3 pbc="T T T"
F -4.136 -0.913 -7.529
Mn -2.302 -2.184 -4.636
F -1.036 1.268 -1.577
F -3.248 -3.103 -3.073
O -1.953 3.577 -6.060
F -0.913 1.152 -4.489
O -0.811 0.952 -7.646
Mg -0.207 2.313 -3.044
O -4.357 -0.510 -1.302
O -3.427 1.602 -6.114
O -3.625 1.667 -3.039
Mn -4.695 -0.205 -3.053
O -1.388 -1.376 -3.085
O -1.392 -1.373 -6.175
Mn 0.038 0.157 -6.138
Mn -2.763 2.617 -4.610
Mn -2.347 2.379 -7.523
Mn -0.171 0.029 -0.037
O -4.169 -0.723 -4.807
```

=====

# 5
# Ca2Nb2FeO8

An optimized crystal structure of Ca2Nb2FeO8 (PBE with a Hubbard U, the Materials Project database).

Output
Volume in Å³ per atom: 12.9
ΔE_f in eV/atom: -2.94
Symmetry: No. 15
Total DFT energy (no corrections) in eV per atom: -7.902
Size of the total moment in μB/atom: 0.3077

The structure in extended XYZ format:
```
26
Lattice="1.935 -9.174 -3.673 4.810 -4.896 -7.369 4.573 -0.405 3.090" Properties=species:S:1:pos:R:3 pbc="T T T"
Ca 7.698 -11.049 -4.814
O 4.921 -10.341 -6.543
O 5.688 -11.227 -9.224
Nb 4.263 -10.215 -4.715
O 4.379 -4.446 -5.852
O 2.955 -6.881 -4.059
O 5.631 -3.248 1.272
O 3.266 -5.190 -1.867
Nb 2.764 -7.041 -2.206
O 6.940 -10.029 -2.101
O 6.398 -4.134 -1.409
O 6.092 -5.819 -3.607
Ca 3.621 -3.426 -3.139
Nb 7.056 -4.260 -3.238
O 4.494 -7.880 -1.516
Fe 6.395 -7.945 -2.680
O 7.631 -11.941 -7.238
O 8.364 -7.594 -3.893
Ca 4.857 -5.192 -0.243
Fe 4.923 -6.530 -5.272
O 5.227 -8.656 -4.346
Nb 8.555 -7.434 -5.747
O 3.688 -2.534 -0.715
Ca 6.462 -9.283 -7.709
O 6.825 -6.595 -6.436
O 8.053 -9.285 -6.086
```

=====

# 6
# Li9Mn2Co5O16

An optimized crystal structure of Li9Mn2Co5O16 (PBE with a Hubbard U, the Materials Project database).

Output
Volume in Å³ per atom: 9.0
ΔE_f in eV/atom: -1.81
Symmetry: No. 1
Total DFT energy (no corrections) in eV per atom: -5.797
Size of the total moment in μB/atom: 0.5625

The structure in extended XYZ format:
```
32
Lattice="2.979 0.000 0.000 -0.470 5.965 0.000 -0.281 -0.231 16.155" Properties=species:S:1:pos:R:3 pbc="T T T"
O -0.099 -0.071 10.041
O 1.004 4.331 4.136
Li 1.366 1.401 2.074
O 0.864 4.214 12.210
Li 0.964 4.319 10.107
O 1.372 1.559 4.046
O 2.698 2.977 2.209
O -0.484 5.916 1.872
O 0.757 4.410 16.066
Mn 2.966 0.030 0.064
O -0.409 2.862 14.066
O 2.338 5.800 6.116
O 1.150 1.350 8.177
O 1.235 1.401 12.032
Co -0.446 2.811 12.126
Li 1.271 1.415 6.016
O -0.265 2.979 5.896
Co 1.038 4.378 6.027
Co 0.857 4.287 14.121
Li -0.374 2.868 8.068
Co -0.288 2.873 3.946
Li 2.734 2.953 0.077
Li 2.767 -0.171 12.107
Li -0.069 -0.019 3.967
O 1.184 1.072 16.146
Co 1.189 1.361 10.108
Li 1.133 1.284 14.106
O 2.497 2.768 10.209
O 1.084 4.373 7.973
O 2.176 5.669 14.205
Mn 2.369 5.844 8.068
Li 1.083 4.508 2.090
```

=====

# 7
# Sr2Mn2AlTlO7

An optimized crystal structure of Sr2Mn2AlTlO7 (PBE with a Hubbard U, the Materials Project database).

Output
Volume in Å³ per atom: 14.1
ΔE_f in eV/atom: -2.23
Symmetry: No. 123
Total DFT energy (no corrections) in eV per atom: -6.406
Size of the total moment in μB/atom: 0.6419

The structure in extended XYZ format:
```
13
Lattice="-3.686 0.158 -0.296 -0.332 -1.227 3.477 0.183 12.640 4.477" Properties=species:S:1:pos:R:3 pbc="T T T"
Al 0.091 6.320 2.238
O -0.058 6.848 4.381
O -1.768 5.258 1.686
Sr 0.148 10.268 3.637
Mn -1.893 7.503 4.437
Tl -2.009 -0.534 1.590
Sr 0.034 2.371 0.840
O -1.971 2.116 2.529
Mn -1.943 4.068 3.220
O -1.865 9.455 5.129
O -0.091 4.565 3.573
O -1.735 7.540 2.495
O 0.000 0.000 0.000
```

=====

# 8
# Li2V3TeO8

An optimized crystal structure of Li2V3TeO8 (PBE with a Hubbard U, the Materials Project database).

Output
Volume in Å³ per atom: 11.2
ΔE_f in eV/atom: -2.27
Symmetry: No. 9
Total DFT energy (no corrections) in eV per atom: -6.780
Size of the total moment in μB/atom: 0.3571

The structure in extended XYZ format:
```
28
Lattice="6.029 -0.022 -0.003 -3.034 5.255 0.007 -0.005 0.010 9.957" Properties=species:S:1:pos:R:3 pbc="T T T"
Li -0.004 0.010 4.880
O -1.571 4.470 5.940
V -0.009 1.797 2.160
O 4.352 2.592 8.303
V 1.466 4.355 2.114
O 1.474 0.807 0.950
O 2.948 3.568 0.958
O 0.028 0.018 3.055
O 1.629 2.496 8.391
V 3.026 3.443 7.155
V -1.495 4.329 2.179
Te 2.968 1.739 9.876
O 3.058 0.170 8.351
O 1.557 4.365 5.932
O 4.609 0.822 0.975
V 1.523 0.890 7.091
O 3.023 1.767 6.064
Li -0.007 3.506 9.008
Te 0.010 3.529 4.902
O 0.021 5.067 3.414
V 4.475 0.890 7.136
O -0.026 1.658 5.956
Li -0.006 0.014 9.859
O -0.044 3.492 1.088
O -1.422 2.755 3.326
O 2.965 5.223 8.038
Li 2.999 1.733 4.026
O 1.324 2.668 3.374
```